# TmMgPt2, relaxed, DFT PBE-GGA
data_TmMgPt2
_chemical_formula_sum 'Tm4 Mg4 Pt8'
_cell_length_a 6.676
_cell_length_b 6.676
_cell_length_c 6.676
_cell_angle_alpha 90.00
_cell_angle_beta 90.00
_cell_angle_gamma 90.00
_symmetry_space_group_name_H-M 'F m -3 m'
_symmetry_Int_Tables_number 225
_symmetry_space_group_name_Hall '-F 4 2 3'
loop_
_atom_site_label
_atom_site_type_symbol
_atom_site_fract_x
_atom_site_fract_y
_atom_site_fract_z
_atom_site_occupancy
Tm1 Tm 0.000 0.000 0.000 1
Mg1 Mg 0.000 0.000 0.500 1
Pt1 Pt 0.250 0.250 0.250 1
# E_form: -1.061 eV/atom